Entry 1:
## Li49Cu8N19 (PBE-GGA)

Data for a relaxed structure of Li49Cu8N19.

CIF file:
```
data_Li49Cu8N19
_chemical_formula_sum 'Li49 Cu8 N19'
_cell_length_a 3.677
_cell_length_b 3.677
_cell_length_c 71.351
_cell_angle_alpha 90.00
_cell_angle_beta 90.00
_cell_angle_gamma 120.00
_symmetry_space_group_name_H-M 'P 1'
_symmetry_Int_Tables_number 1
loop_
_symmetry_equiv_pos_as_xyz
'x,y,z'
loop_
_atom_site_label
_atom_site_fract_x
_atom_site_fract_y
_atom_site_fract_z
_atom_site_occupancy
Li1 0.000 0.000 0.000 1
Li2 0.000 0.000 0.053 1
Li3 0.000 0.000 0.105 1
Li4 0.000 0.000 0.158 1
Li5 0.000 0.000 0.211 1
Li6 0.000 0.000 0.316 1
Li7 0.000 0.000 0.684 1
Li8 0.000 0.000 0.789 1
Li9 0.000 0.000 0.842 1
Li10 0.000 0.000 0.895 1
Li11 0.000 0.000 0.947 1
Li12 0.333 0.667 0.027 1
Li13 0.333 0.667 0.079 1
Li14 0.333 0.667 0.132 1
Li15 0.333 0.667 0.184 1
Li16 0.333 0.667 0.238 1
Li17 0.333 0.667 0.288 1
Li18 0.333 0.667 0.344 1
Li19 0.333 0.667 0.395 1
Li20 0.333 0.667 0.447 1
Li21 0.333 0.667 0.500 1
Li22 0.333 0.667 0.553 1
Li23 0.333 0.667 0.605 1
Li24 0.333 0.667 0.656 1
Li25 0.333 0.667 0.712 1
Li26 0.333 0.667 0.762 1
Li27 0.333 0.667 0.816 1
Li28 0.333 0.667 0.868 1
Li29 0.333 0.667 0.921 1
Li30 0.333 0.667 0.973 1
Li31 0.667 0.333 0.027 1
Li32 0.667 0.333 0.079 1
Li33 0.667 0.333 0.132 1
Li34 0.667 0.333 0.184 1
Li35 0.667 0.333 0.238 1
Li36 0.667 0.333 0.288 1
Li37 0.667 0.333 0.344 1
Li38 0.667 0.333 0.395 1
Li39 0.667 0.333 0.447 1
Li40 0.667 0.333 0.500 1
Li41 0.667 0.333 0.553 1
Li42 0.667 0.333 0.605 1
Li43 0.667 0.333 0.656 1
Li44 0.667 0.333 0.712 1
Li45 0.667 0.333 0.762 1
Li46 0.667 0.333 0.816 1
Li47 0.667 0.333 0.868 1
Li48 0.667 0.333 0.921 1
Li49 0.667 0.333 0.973 1
Cu1 0.000 0.000 0.263 1
Cu2 0.000 0.000 0.369 1
Cu3 0.000 0.000 0.421 1
Cu4 0.000 0.000 0.474 1
Cu5 0.000 0.000 0.526 1
Cu6 0.000 0.000 0.579 1
Cu7 0.000 0.000 0.631 1
Cu8 0.000 0.000 0.737 1
N1 0.000 0.000 0.026 1
N2 0.000 0.000 0.079 1
N3 0.000 0.000 0.132 1
N4 0.000 0.000 0.184 1
N5 0.000 0.000 0.237 1
N6 0.000 0.000 0.289 1
N7 0.000 0.000 0.342 1
N8 0.000 0.000 0.395 1
N9 0.000 0.000 0.447 1
N10 0.000 0.000 0.500 1
N11 0.000 0.000 0.553 1
N12 0.000 0.000 0.605 1
N13 0.000 0.000 0.658 1
N14 0.000 0.000 0.711 1
N15 0.000 0.000 0.763 1
N16 0.000 0.000 0.816 1
N17 0.000 0.000 0.868 1
N18 0.000 0.000 0.921 1
N19 0.000 0.000 0.974 1
```

=====

Entry 2:
## Li47Cu7N18 (PBE-GGA)

Data for a relaxed structure of Li47Cu7N18.

CIF file:
```
data_Li47Cu7N18
_chemical_formula_sum 'Li47 Cu7 N18'
_cell_length_a 3.680
_cell_length_b 3.680
_cell_length_c 68.048
_cell_angle_alpha 90.00
_cell_angle_beta 90.00
_cell_angle_gamma 120.00
_symmetry_space_group_name_H-M 'P 1'
_symmetry_Int_Tables_number 1
loop_
_symmetry_equiv_pos_as_xyz
'x,y,z'
loop_
_atom_site_label
_atom_site_fract_x
_atom_site_fract_y
_atom_site_fract_z
_atom_site_occupancy
Li1 0.000 0.000 0.000 1
Li2 0.000 0.000 0.056 1
Li3 0.000 0.000 0.111 1
Li4 0.000 0.000 0.167 1
Li5 0.000 0.000 0.224 1
Li6 0.000 0.000 0.335 1
Li7 0.000 0.000 0.665 1
Li8 0.000 0.000 0.776 1
Li9 0.000 0.000 0.833 1
Li10 0.000 0.000 0.889 1
Li11 0.000 0.000 0.944 1
Li12 0.333 0.667 0.028 1
Li13 0.333 0.667 0.083 1
Li14 0.333 0.667 0.139 1
Li15 0.333 0.667 0.196 1
Li16 0.333 0.667 0.253 1
Li17 0.333 0.667 0.305 1
Li18 0.333 0.667 0.365 1
Li19 0.333 0.667 0.418 1
Li20 0.333 0.667 0.473 1
Li21 0.333 0.667 0.527 1
Li22 0.333 0.667 0.582 1
Li23 0.333 0.667 0.635 1
Li24 0.333 0.667 0.695 1
Li25 0.333 0.667 0.747 1
Li26 0.333 0.667 0.804 1
Li27 0.333 0.667 0.861 1
Li28 0.333 0.667 0.917 1
Li29 0.333 0.667 0.972 1
Li30 0.667 0.333 0.028 1
Li31 0.667 0.333 0.083 1
Li32 0.667 0.333 0.139 1
Li33 0.667 0.333 0.196 1
Li34 0.667 0.333 0.253 1
Li35 0.667 0.333 0.305 1
Li36 0.667 0.333 0.365 1
Li37 0.667 0.333 0.418 1
Li38 0.667 0.333 0.473 1
Li39 0.667 0.333 0.527 1
Li40 0.667 0.333 0.582 1
Li41 0.667 0.333 0.635 1
Li42 0.667 0.333 0.695 1
Li43 0.667 0.333 0.747 1
Li44 0.667 0.333 0.804 1
Li45 0.667 0.333 0.861 1
Li46 0.667 0.333 0.917 1
Li47 0.667 0.333 0.972 1
Cu1 0.000 0.000 0.279 1
Cu2 0.000 0.000 0.391 1
Cu3 0.000 0.000 0.445 1
Cu4 0.000 0.000 0.500 1
Cu5 0.000 0.000 0.555 1
Cu6 0.000 0.000 0.609 1
Cu7 0.000 0.000 0.721 1
N1 0.000 0.000 0.028 1
N2 0.000 0.000 0.083 1
N3 0.000 0.000 0.139 1
N4 0.000 0.000 0.196 1
N5 0.000 0.000 0.252 1
N6 0.000 0.000 0.307 1
N7 0.000 0.000 0.363 1
N8 0.000 0.000 0.418 1
N9 0.000 0.000 0.473 1
N10 0.000 0.000 0.527 1
N11 0.000 0.000 0.582 1
N12 0.000 0.000 0.637 1
N13 0.000 0.000 0.693 1
N14 0.000 0.000 0.748 1
N15 0.000 0.000 0.804 1
N16 0.000 0.000 0.861 1
N17 0.000 0.000 0.917 1
N18 0.000 0.000 0.972 1
```

=====

Entry 3:
## Li2CuN (PBE-GGA)

Data for a relaxed structure of Li2CuN.

CIF file:
```
data_Li2CuN
_chemical_formula_sum 'Li8 Cu4 N4'
_cell_length_a 7.020
_cell_length_b 4.965
_cell_length_c 5.200
_cell_angle_alpha 90.00
_cell_angle_beta 90.00
_cell_angle_gamma 90.00
_symmetry_space_group_name_H-M 'P 1'
_symmetry_Int_Tables_number 1
loop_
_symmetry_equiv_pos_as_xyz
'x,y,z'
loop_
_atom_site_label
_atom_site_fract_x
_atom_site_fract_y
_atom_site_fract_z
_atom_site_occupancy
Li1 0.064 0.140 0.250 1
Li2 0.064 0.360 0.750 1
Li3 0.378 0.250 0.000 1
Li4 0.378 0.250 0.500 1
Li5 0.622 0.750 0.000 1
Li6 0.622 0.750 0.500 1
Li7 0.936 0.640 0.250 1
Li8 0.936 0.860 0.750 1
Cu1 0.246 0.750 0.000 1
Cu2 0.246 0.750 0.500 1
Cu3 0.754 0.250 0.000 1
Cu4 0.754 0.250 0.500 1
N1 0.230 0.021 0.750 1
N2 0.230 0.479 0.250 1
N3 0.770 0.521 0.750 1
N4 0.770 0.979 0.250 1
```

=====

Entry 4:
## Li3CuN2 (PBE-GGA)

Data for a relaxed structure of Li3CuN2.

CIF file:
```
data_Li3CuN2
_chemical_formula_sum 'Li12 Cu4 N8'
_cell_length_a 5.993
_cell_length_b 5.993
_cell_length_c 7.337
_cell_angle_alpha 90.00
_cell_angle_beta 90.00
_cell_angle_gamma 113.11
_symmetry_space_group_name_H-M 'P 1'
_symmetry_Int_Tables_number 1
loop_
_symmetry_equiv_pos_as_xyz
'x,y,z'
loop_
_atom_site_label
_atom_site_fract_x
_atom_site_fract_y
_atom_site_fract_z
_atom_site_occupancy
Li1 0.087 0.346 0.498 1
Li2 0.154 0.413 0.002 1
Li3 0.171 0.829 0.781 1
Li4 0.329 0.671 0.281 1
Li5 0.346 0.087 0.502 1
Li6 0.413 0.154 0.998 1
Li7 0.587 0.846 0.002 1
Li8 0.654 0.913 0.498 1
Li9 0.671 0.329 0.719 1
Li10 0.829 0.171 0.219 1
Li11 0.846 0.587 0.998 1
Li12 0.913 0.654 0.502 1
Cu1 0.073 0.927 0.197 1
Cu2 0.427 0.573 0.697 1
Cu3 0.573 0.427 0.303 1
Cu4 0.927 0.073 0.803 1
N1 0.225 0.775 0.046 1
N2 0.247 0.253 0.250 1
N3 0.253 0.247 0.750 1
N4 0.275 0.725 0.546 1
N5 0.725 0.275 0.454 1
N6 0.747 0.753 0.250 1
N7 0.753 0.747 0.750 1
N8 0.775 0.225 0.954 1
```

=====

| no. | E (eV per cell) | V (Å³/cell) |
| --- | --- | --- |
| 1 | -309.9 | 835.64 |
| 2 | -292.7 | 798.22 |
| 3 | -69.3 | 181.23 |
| 4 | -107.6 | 242.33 |